Compound: Sm3Al12Os4
Source: the Materials Project database
Functional: GGA-PBE
Structure: relaxed

Results
ΔH_f (0 K)	-0.583	eV per atom
energy	-6.06	eV/atom

Structure (extended XYZ):
```
38
Lattice="8.892 0.000 0.000 -4.446 7.701 0.000 0.000 0.000 9.638" Properties=species:S:1:pos:R:3 pbc="T T T"
Sm 0.000 2.962 2.409
Sm -1.881 6.220 2.409
Sm 2.565 1.481 7.228
Sm 1.881 6.220 2.409
Sm 6.327 1.481 7.228
Sm 4.446 4.738 7.228
Al 0.000 0.000 2.409
Al 0.000 0.000 7.228
Al -1.414 4.318 7.228
Al 0.000 2.508 5.544
Al 0.000 2.508 8.913
Al -2.274 6.447 5.544
Al -2.274 6.447 8.913
Al 2.172 1.254 0.725
Al 2.172 1.254 4.094
Al 0.000 5.134 0.122
Al 0.000 5.134 4.696
Al 1.414 4.318 7.228
Al 0.000 6.766 7.228
Al 4.446 0.934 2.409
Al 3.032 3.383 2.409
Al 4.446 2.567 4.941
Al 4.446 2.567 9.515
Al 2.274 6.447 5.544
Al 2.274 6.447 8.913
Al 6.720 1.254 0.725
Al 6.720 1.254 4.094
Al 4.446 5.193 0.725
Al 4.446 5.193 4.094
Al 5.860 3.383 2.409
Os 0.000 0.000 0.000
Os 0.000 0.000 4.819
Os -2.223 3.850 0.000
Os -2.223 3.850 4.819
Os 4.446 0.000 0.000
Os 4.446 0.000 4.819
Os 2.223 3.850 0.000
Os 2.223 3.850 4.819
```